Entry 1:
12
Lattice="5.629 0.000 0.000 0.000 5.759 0.000 0.000 0.000 7.866" Properties=species:S:1:pos:R:3 comment="CaAlPd, relaxed, DFT PBE" e_form_kj_per_mol_atoms=-71.1 dft_energy_ev_per_atom=-4.3802 mass_density_kg_m3=4519 pbc="T T T"
Pd 1.407 5.018 3.739
Pd 4.222 5.018 0.195
Pd 1.407 0.741 7.672
Pd 4.222 0.741 4.128
Ca 4.222 3.662 3.144
Ca 1.407 2.097 4.723
Ca 4.222 2.097 7.077
Ca 1.407 3.662 0.790
Al 2.815 0.601 1.967
Al 0.000 0.601 1.967
Al 0.000 5.158 5.900
Al 2.815 5.158 5.900


Entry 2:
10
Lattice="-5.461 0.124 1.915 -2.661 -4.917 1.497 1.128 -0.014 7.722" Properties=species:S:1:pos:R:3 comment="Ca2AlPd2, relaxed, DFT PBE" e_form_kj_per_mol_atoms=-75.3 dft_energy_ev_per_atom=-4.4033 mass_density_kg_m3=4815 pbc="T T T"
Ca -1.746 -2.342 6.153
Ca -3.955 -3.783 8.733
Ca -3.038 -1.025 2.400
Ca -5.247 -2.466 4.981
Al -2.716 -4.313 3.478
Al -4.277 -0.495 7.656
Pd -3.489 0.063 5.313
Pd -3.504 -4.871 5.821
Pd -1.991 -3.643 1.144
Pd -5.002 -1.165 9.990


Entry 3:
12
Lattice="4.289 0.000 0.000 0.000 7.259 0.000 0.000 0.000 7.840" Properties=species:S:1:pos:R:3 comment="CaAlPt, relaxed, DFT PBE" e_form_kj_per_mol_atoms=-93.5 dft_energy_ev_per_atom=-4.9096 mass_density_kg_m3=7133 pbc="T T T"
Ca 1.072 0.164 5.311
Ca 3.217 7.095 2.528
Ca 1.072 3.794 6.448
Ca 3.217 3.466 1.392
Al 1.072 4.675 3.396
Al 1.072 1.045 0.524
Al 3.217 2.585 4.444
Al 3.217 6.214 7.316
Pt 3.217 5.161 4.820
Pt 3.217 1.531 6.940
Pt 1.072 2.098 3.020
Pt 1.072 5.728 0.900


Entry 4:
56
Lattice="6.928 -11.755 4.366 0.324 -4.574 10.932 -3.524 -11.155 -1.197" Properties=species:S:1:pos:R:3 comment="CaAl2S4, relaxed, DFT PBE" energy_mp2020_ev_per_fu=-37.92 e_form_kj_per_mol_atoms=-163.7 dft_energy_ev_per_atom=-5.1297 mass_density_kg_m3=2372 pbc="T T T"
S -0.588 -16.784 10.866
S 0.067 -19.925 9.455
S 3.344 -25.556 11.789
S 3.191 -11.156 8.012
S -0.427 -3.000 0.369
S 2.926 -22.322 13.074
S -0.378 -9.447 2.542
S 1.154 -11.197 11.435
S 4.847 -9.739 5.327
S 1.522 -6.166 8.619
S 3.252 -17.609 10.204
S 1.734 -12.034 4.552
S -2.214 -8.579 -0.213
S 1.317 -8.799 5.837
S 5.249 -17.572 6.760
S -0.262 -17.401 4.171
S 3.091 -15.327 4.736
S 1.409 -16.747 7.422
S -0.233 -11.740 8.032
S 1.807 -14.337 10.020
S 5.338 -20.188 12.168
S -0.266 -5.279 5.839
S 2.853 -20.019 7.606
S 1.246 -14.454 1.958
S -0.678 -14.168 5.459
S 1.359 -3.871 3.156
S 4.593 -14.431 8.171
S -2.035 -10.861 5.228
S 4.994 -12.044 10.812
S 4.923 -16.954 13.456
S 3.507 -23.159 6.192
S 3.014 -8.887 2.564
Al 0.301 -13.314 11.337
Al -0.443 -9.984 6.596
Al -1.824 -12.617 6.665
Al 2.731 -10.020 4.521
Al 1.313 -16.531 9.684
Al 1.606 -19.761 2.173
Al 6.110 -15.458 6.869
Al -1.684 -16.177 5.474
Al 3.348 -17.824 7.942
Al 4.360 -21.042 6.289
Al -0.583 -6.424 7.786
Al 1.481 -16.209 3.386
Al 2.075 -7.742 11.954
Al 5.113 -12.248 8.545
Al 3.072 -10.952 10.278
Al 2.856 -13.572 3.308
Ca 0.932 -6.871 3.525
Ca 0.122 -19.329 6.482
Ca 2.796 -20.613 10.576
Ca 0.000 0.000 0.000
Ca 4.539 -15.026 11.145
Ca 1.864 -13.742 7.051
Ca -0.810 -12.458 2.957
Ca 5.471 -21.898 14.670


Entry 5:
26
Lattice="-4.006 1.310 -1.574 -3.248 -11.606 -1.394 -5.207 -0.122 13.150" Properties=species:S:1:pos:R:3 comment="Ca5Al2Sb6, relaxed, DFT PBE" energy_mp2020_ev_per_fu=-53.46 e_form_kj_per_mol_atoms=-82.9 dft_energy_ev_per_atom=-4.0240 mass_density_kg_m3=4237 pbc="T T T"
Al -6.807 -9.746 9.212
Al -4.780 -3.934 8.892
Al -3.675 -7.795 2.864
Al -1.648 -1.982 2.544
Sb -4.859 -9.844 4.173
Sb -4.767 -0.403 11.796
Sb -8.260 -9.163 6.965
Sb -6.853 -7.725 11.010
Sb -4.201 -1.255 3.216
Sb -4.831 -6.170 7.161
Sb -3.595 -1.884 7.582
Sb -1.602 -4.003 0.746
Sb -3.688 -11.325 -0.041
Sb -3.623 -5.558 4.595
Sb -5.080 -7.040 0.638
Sb -7.381 -3.378 9.544
Ca -6.195 -0.513 8.911
Ca -6.265 -9.905 1.271
Ca -4.606 0.594 5.788
Ca -9.822 -9.062 11.024
Ca -4.613 -4.102 1.897
Ca -7.847 -6.316 8.284
Ca -2.639 -1.356 -0.842
Ca -3.627 -5.148 -1.484
Ca -6.719 -7.217 4.663
Ca -5.742 -3.201 5.518


Entry 6:
104
Lattice="6.290 7.761 12.917 -7.889 13.315 -5.206 -8.640 -13.612 2.588" Properties=species:S:1:pos:R:3 comment="Ca14AlSb11, relaxed, DFT PBE" energy_mp2020_ev_per_fu=-105.19 e_form_kj_per_mol_atoms=-103.7 dft_energy_ev_per_atom=-3.9647 mass_density_kg_m3=4062 pbc="T T T"
Ca -4.790 13.949 1.910
Ca -3.366 10.715 0.674
Ca -11.653 3.320 2.755
Ca -3.142 4.506 0.436
Ca -6.322 11.152 4.039
Ca -3.713 2.660 6.206
Ca -0.765 7.692 8.632
Ca -3.894 10.127 6.501
Ca -5.317 1.125 -1.170
Ca 0.668 0.637 12.645
Ca -6.099 4.943 3.801
Ca -2.241 10.850 10.491
Ca -3.439 18.402 6.013
Ca -7.074 -5.672 5.412
Ca -6.769 -4.642 9.117
Ca -5.571 5.531 -2.026
Ca -5.965 11.024 9.662
Ca -9.726 0.432 5.425
Ca -8.685 8.404 5.045
Ca -5.751 12.998 -1.732
Ca -2.409 15.726 8.760
Ca -9.420 -6.357 2.018
Ca -6.151 -9.512 5.301
Ca -6.719 8.060 1.613
Ca -0.884 2.018 2.926
Ca -0.691 0.326 6.754
Ca -2.039 -1.176 10.580
Ca 0.264 5.017 11.378
Ca -7.980 4.600 9.971
Ca -5.873 9.261 -1.913
Ca -9.328 -2.160 0.961
Ca -3.592 6.397 6.387
Ca -5.849 -1.217 10.317
Ca -8.176 -10.092 1.688
Ca -0.934 12.569 6.900
Ca -6.824 7.748 8.064
Ca -9.298 10.444 -0.658
Ca -4.990 2.059 11.915
Ca -2.746 7.599 2.861
Ca -4.147 14.533 5.644
Ca -4.064 -1.757 6.967
Ca -0.167 5.215 5.133
Ca -6.746 1.537 7.803
Ca -3.835 5.207 10.008
Ca -6.451 -1.273 4.307
Ca -4.594 -4.144 12.540
Ca -6.248 -4.202 1.984
Ca 1.735 4.018 7.954
Ca -3.141 -5.596 6.856
Ca -11.359 0.510 -0.741
Ca -8.378 1.614 1.638
Ca -3.310 -1.675 1.726
Ca -3.967 -7.066 10.284
Ca -8.777 4.207 6.102
Ca -4.674 1.709 2.565
Ca -11.336 6.688 -2.054
Sb -3.119 16.559 3.330
Sb -2.926 -0.012 4.520
Sb -4.253 -0.939 13.003
Sb -11.073 0.131 2.438
Sb -6.345 -0.900 1.144
Sb -3.894 8.364 9.155
Sb -5.527 8.058 4.559
Sb -1.940 2.935 12.328
Sb -1.422 4.539 8.052
Sb -3.938 7.600 -0.085
Sb 0.585 10.603 9.058
Sb -4.465 -3.865 4.543
Sb -1.175 -2.926 7.752
Sb -1.080 8.340 5.463
Sb -5.937 4.660 7.537
Sb -5.750 -7.404 7.725
Sb -6.299 3.745 0.528
Sb -6.484 -7.511 2.771
Sb -3.731 -3.758 9.497
Sb -2.956 4.437 3.672
Sb -8.948 -3.664 3.816
Sb -8.042 11.119 -3.578
Sb -3.747 0.886 8.871
Sb -2.383 1.331 0.210
Sb -3.165 11.914 3.947
Sb -14.358 1.160 -1.808
Sb -10.818 3.708 -0.310
Sb 2.176 6.807 9.577
Sb 1.351 2.356 5.161
Sb -12.167 -2.613 -0.474
Sb -7.031 1.915 4.625
Sb -6.509 11.222 0.802
Sb -7.562 10.746 6.976
Sb -3.760 12.816 8.333
Sb -8.384 7.319 -0.989
Sb 0.808 1.013 9.470
Sb 2.539 3.297 13.020
Sb -8.265 -0.148 -1.309
Sb 0.720 15.055 8.237
Sb -0.400 5.269 1.928
Sb -9.875 6.872 7.651
Sb -1.200 15.807 5.783
Sb -9.157 5.710 3.247
Sb -7.286 -1.662 7.373
Al -8.665 5.120 0.619
Al -1.575 2.343 9.680
Al 0.000 0.000 0.000
Al -0.800 10.538 3.856


Entry 7:
5
Lattice="2.078 -3.599 0.000 2.078 3.599 0.000 0.000 0.000 7.107" Properties=species:S:1:pos:R:3 comment="CaAl2Si2, relaxed, DFT PBE" energy_mp2020_ev_per_fu=-21.70 e_form_kj_per_mol_atoms=-26.2 dft_energy_ev_per_atom=-4.3690 mass_density_kg_m3=2347 pbc="T T T"
Ca 0.000 0.000 0.000
Al 2.078 1.200 4.477
Al 2.078 -1.200 2.630
Si 2.078 1.200 1.875
Si 2.078 -1.200 5.232


Entry 8:
15
Lattice="2.103 -3.643 0.000 2.103 3.643 0.000 0.000 0.000 21.782" Properties=species:S:1:pos:R:3 comment="CaAlSi, relaxed, DFT PBE" energy_mp2020_ev_per_fu=-12.26 e_form_kj_per_mol_atoms=-35.0 dft_energy_ev_per_atom=-4.1118 mass_density_kg_m3=2367 pbc="T T T"
Ca 0.000 0.000 2.151
Ca 0.000 0.000 15.226
Ca 0.000 0.000 10.891
Ca 0.000 0.000 19.631
Ca 0.000 0.000 6.556
Si 2.103 1.214 0.000
Si 2.103 -1.214 8.576
Si 2.103 1.214 17.267
Si 2.103 1.214 4.515
Si 2.103 -1.214 13.206
Al 2.103 -1.214 17.621
Al 2.103 1.214 8.973
Al 2.103 1.214 12.809
Al 2.103 -1.214 4.161
Al 2.103 -1.214 0.000


Entry 9:
3
Lattice="-2.758 2.194 -2.293 0.339 0.713 4.129 3.061 3.037 -0.776" Properties=species:S:1:pos:R:3 comment="CaAlSi, relaxed, DFT PBE" energy_mp2020_ev_per_fu=-12.26 e_form_kj_per_mol_atoms=-34.8 dft_energy_ev_per_atom=-4.1104 mass_density_kg_m3=2356 pbc="T T T"
Al -0.195 3.219 -0.540
Si 0.837 2.725 1.601
Ca 0.000 0.000 0.000


Entry 10:
18
Lattice="-3.413 1.770 1.704 -0.394 -2.580 -3.298 -2.474 -20.469 16.305" Properties=species:S:1:pos:R:3 comment="CaAlSi, relaxed, DFT PBE" energy_mp2020_ev_per_fu=-12.27 e_form_kj_per_mol_atoms=-35.3 dft_energy_ev_per_atom=-4.1146 mass_density_kg_m3=2354 pbc="T T T"
Ca -1.650 -13.655 10.878
Ca -0.413 -3.421 2.725
Ca -0.823 -6.814 5.428
Ca -1.237 -10.234 8.153
Ca 0.000 0.000 0.000
Ca -2.060 -17.048 13.580
Si -3.025 -4.797 4.113
Si -3.255 -16.481 10.598
Si -2.831 -12.972 7.803
Si -3.449 -8.306 6.908
Si -2.601 -1.288 1.318
Si -3.679 -19.990 13.394
Al -3.867 -11.768 9.666
Al -2.413 -9.511 5.046
Al -4.262 -15.031 12.266
Al -2.019 -6.247 2.446
Al -4.656 -18.295 14.866
Al -1.624 -2.983 -0.154


Entry 11:
6
Lattice="0.000 4.076 4.076 4.076 0.000 4.076 4.076 4.076 0.000" Properties=species:S:1:pos:R:3 comment="SrCaAl4, relaxed, DFT PBE" e_form_kj_per_mol_atoms=-27.2 dft_energy_ev_per_atom=-3.3946 mass_density_kg_m3=2890 pbc="T T T"
Al 3.058 3.058 1.017
Al 1.017 3.058 3.058
Al 3.058 1.017 3.058
Al 1.017 1.017 1.017
Sr 4.076 4.076 4.076
Ca 6.113 6.113 6.113


Entry 12:
34
Lattice="9.870 0.000 0.000 0.133 10.797 0.000 0.545 0.563 11.605" Properties=species:S:1:pos:R:3 comment="CaAl6Te10, relaxed, DFT PBE" energy_mp2020_ev_per_fu=-66.61 e_form_kj_per_mol_atoms=-60.7 dft_energy_ev_per_atom=-3.6701 mass_density_kg_m3=3969 pbc="T T T"
Te 7.620 4.139 7.397
Te 5.888 0.649 6.221
Te 4.300 9.131 0.931
Te 3.650 1.256 10.411
Te 8.434 7.967 11.016
Te 1.091 5.827 1.692
Te 2.836 2.972 8.226
Te 2.219 9.803 5.033
Te 7.204 8.912 3.179
Te 6.960 1.599 0.358
Te 9.055 10.832 8.670
Te 3.229 2.259 2.802
Te 9.534 1.947 4.297
Te 2.725 8.434 9.149
Te 6.789 5.388 3.134
Te 0.485 10.167 1.159
Te 6.179 7.632 7.554
Te 1.200 4.618 9.759
Te 5.226 5.375 11.071
Te 0.892 5.759 5.269
Al 9.975 8.363 5.479
Al 8.222 1.693 6.582
Al 4.372 2.397 0.491
Al 9.173 7.752 1.771
Al 8.074 0.520 2.469
Al 2.870 10.525 2.550
Al 9.758 5.818 7.724
Al 2.871 6.477 10.912
Al 0.730 9.478 10.388
Al 7.337 9.212 5.834
Al 8.431 4.423 4.802
Al 8.755 8.186 7.966
Ca 6.046 10.076 9.626
Ca 8.182 4.454 0.657


Entry 13:
19
Lattice="5.162 -4.562 0.000 5.162 4.562 0.000 1.130 0.000 6.795" Properties=species:S:1:pos:R:3 comment="Ca2AlZn16, relaxed, DFT PBE" e_form_kj_per_mol_atoms=-18.2 dft_energy_ev_per_atom=-1.6576 mass_density_kg_m3=5987 pbc="T T T"
Zn 3.961 -3.202 2.023
Zn 5.160 1.845 0.001
Zn 2.330 1.357 4.771
Zn 10.294 0.000 6.107
Zn 6.910 0.000 1.090
Zn 4.929 -2.242 4.429
Zn 6.528 -2.243 2.367
Zn 6.528 2.243 2.367
Zn 8.876 2.277 6.795
Zn 2.330 -1.357 4.771
Zn 5.160 -1.845 0.001
Zn 10.889 0.000 3.403
Zn 3.961 3.202 2.023
Zn 4.546 0.000 5.709
Zn 4.929 2.242 4.429
Zn 8.876 -2.277 6.795
Al 1.143 0.000 0.678
Ca 3.861 0.000 2.291
Ca 7.596 0.000 4.507


Entry 14:
5
Lattice="-2.074 2.074 5.672 2.074 -2.074 5.672 2.074 2.074 -5.672" Properties=species:S:1:pos:R:3 comment="CaAl2Zn2, relaxed, DFT PBE" e_form_kj_per_mol_atoms=-27.9 dft_energy_ev_per_atom=-2.6927 mass_density_kg_m3=3826 pbc="T T T"
Al 2.074 0.000 2.836
Al 0.000 2.074 2.836
Zn 0.000 0.000 6.913
Zn 0.000 0.000 4.431
Ca 0.000 0.000 0.000